An optimized crystal structure of Cd4As2Br3. Source: Materials Project, functional GGA-PBE.

a b c (Å): 12.928 12.928 12.928
angles (deg): 90.00 90.00 90.00
Fractional positions:
Cd 0.251 0.527 0.988
Cd 0.749 0.027 0.512
Cd 0.249 0.473 0.488
Cd 0.751 0.973 0.012
Cd 0.988 0.251 0.527
Cd 0.512 0.749 0.027
Cd 0.488 0.249 0.473
Cd 0.012 0.751 0.973
Cd 0.527 0.988 0.251
Cd 0.027 0.512 0.749
Cd 0.473 0.488 0.249
Cd 0.973 0.012 0.751
Cd 0.749 0.473 0.012
Cd 0.251 0.973 0.488
Cd 0.751 0.527 0.512
Cd 0.249 0.027 0.988
Cd 0.012 0.749 0.473
Cd 0.488 0.251 0.973
Cd 0.512 0.751 0.527
Cd 0.988 0.249 0.027
Cd 0.473 0.012 0.749
Cd 0.973 0.488 0.251
Cd 0.527 0.512 0.751
Cd 0.027 0.988 0.249
Cd 0.280 0.720 0.220
Cd 0.720 0.220 0.280
Cd 0.220 0.280 0.720
Cd 0.780 0.780 0.780
Cd 0.720 0.280 0.780
Cd 0.280 0.780 0.720
Cd 0.780 0.720 0.280
Cd 0.220 0.220 0.220
As 0.054 0.946 0.446
As 0.946 0.446 0.054
As 0.446 0.054 0.946
As 0.554 0.554 0.554
As 0.946 0.054 0.554
As 0.054 0.554 0.946
As 0.554 0.946 0.054
As 0.446 0.446 0.446
As 0.396 0.604 0.104
As 0.604 0.104 0.396
As 0.104 0.396 0.604
As 0.896 0.896 0.896
As 0.604 0.396 0.896
As 0.396 0.896 0.604
As 0.896 0.604 0.396
As 0.104 0.104 0.104
Br 0.235 0.686 0.430
Br 0.765 0.186 0.070
Br 0.265 0.314 0.930
Br 0.735 0.814 0.570
Br 0.430 0.235 0.686
Br 0.070 0.765 0.186
Br 0.930 0.265 0.314
Br 0.570 0.735 0.814
Br 0.686 0.430 0.235
Br 0.186 0.070 0.765
Br 0.314 0.930 0.265
Br 0.814 0.570 0.735
Br 0.765 0.314 0.570
Br 0.235 0.814 0.930
Br 0.735 0.686 0.070
Br 0.265 0.186 0.430
Br 0.570 0.765 0.314
Br 0.930 0.235 0.814
Br 0.070 0.735 0.686
Br 0.430 0.265 0.186
Br 0.314 0.570 0.765
Br 0.814 0.930 0.235
Br 0.686 0.070 0.735
Br 0.186 0.430 0.265

formation energy	-6.17	eV/f.u.
energy	-22.492	eV/f.u.

An optimized crystal structure of CdHg6As4Br6. Source: Materials Project, functional GGA-PBE.

a b c (Å): 12.703 12.703 12.703
angles (deg): 90.00 90.00 90.00
Fractional positions:
Cd 0.500 0.000 0.500
Cd 0.000 0.000 0.000
Cd 0.000 0.500 0.500
Cd 0.500 0.500 0.000
Hg 0.714 0.718 0.476
Hg 0.218 0.024 0.286
Hg 0.976 0.714 0.782
Hg 0.786 0.282 0.976
Hg 0.524 0.286 0.282
Hg 0.782 0.976 0.714
Hg 0.024 0.214 0.718
Hg 0.476 0.786 0.218
Hg 0.218 0.476 0.786
Hg 0.476 0.714 0.718
Hg 0.786 0.218 0.476
Hg 0.286 0.282 0.524
Hg 0.024 0.286 0.218
Hg 0.976 0.786 0.282
Hg 0.782 0.524 0.214
Hg 0.282 0.524 0.286
Hg 0.286 0.218 0.024
Hg 0.282 0.976 0.786
Hg 0.524 0.214 0.782
Hg 0.214 0.718 0.024
Hg 0.718 0.476 0.714
Hg 0.714 0.782 0.976
Hg 0.214 0.782 0.524
Hg 0.718 0.024 0.214
As 0.829 0.171 0.671
As 0.783 0.717 0.283
As 0.829 0.329 0.171
As 0.171 0.671 0.829
As 0.329 0.171 0.829
As 0.329 0.329 0.329
As 0.217 0.283 0.717
As 0.717 0.217 0.283
As 0.171 0.829 0.329
As 0.671 0.829 0.171
As 0.783 0.783 0.783
As 0.217 0.217 0.217
As 0.283 0.783 0.717
As 0.717 0.283 0.783
As 0.671 0.671 0.671
As 0.283 0.717 0.217
Br 0.032 0.218 0.962
Br 0.782 0.462 0.468
Br 0.968 0.782 0.038
Br 0.532 0.282 0.038
Br 0.968 0.718 0.538
Br 0.282 0.462 0.032
Br 0.038 0.532 0.282
Br 0.462 0.032 0.282
Br 0.782 0.038 0.968
Br 0.538 0.532 0.218
Br 0.718 0.962 0.468
Br 0.218 0.962 0.032
Br 0.462 0.468 0.782
Br 0.282 0.038 0.532
Br 0.962 0.032 0.218
Br 0.032 0.282 0.462
Br 0.538 0.968 0.718
Br 0.718 0.538 0.968
Br 0.218 0.538 0.532
Br 0.532 0.218 0.538
Br 0.962 0.468 0.718
Br 0.038 0.968 0.782
Br 0.468 0.782 0.462
Br 0.468 0.718 0.962

formation energy	-9.55	eV/f.u.
energy	-37.547	eV/f.u.

An optimized crystal structure of CrHg6As4Br7. Source: Materials Project, functional GGA-PBE.

a b c (Å): 12.611 12.611 12.611
angles (deg): 90.00 90.00 90.00
Fractional positions:
Cr 0.000 0.000 0.500
Cr 0.500 0.000 0.000
Cr 0.000 0.500 0.000
Cr 0.500 0.500 0.500
Hg 0.799 0.460 0.307
Hg 0.201 0.540 0.693
Hg 0.540 0.807 0.701
Hg 0.693 0.201 0.540
Hg 0.307 0.701 0.960
Hg 0.693 0.299 0.040
Hg 0.193 0.201 0.960
Hg 0.701 0.540 0.807
Hg 0.807 0.701 0.540
Hg 0.307 0.799 0.460
Hg 0.807 0.799 0.040
Hg 0.299 0.040 0.693
Hg 0.201 0.960 0.193
Hg 0.460 0.307 0.799
Hg 0.040 0.807 0.799
Hg 0.040 0.693 0.299
Hg 0.701 0.960 0.307
Hg 0.960 0.193 0.201
Hg 0.960 0.307 0.701
Hg 0.460 0.193 0.299
Hg 0.799 0.040 0.807
Hg 0.299 0.460 0.193
Hg 0.540 0.693 0.201
Hg 0.193 0.299 0.460
As 0.229 0.729 0.771
As 0.729 0.771 0.229
As 0.157 0.157 0.157
As 0.157 0.343 0.657
As 0.271 0.271 0.271
As 0.229 0.771 0.271
As 0.771 0.271 0.229
As 0.657 0.343 0.843
As 0.843 0.843 0.843
As 0.343 0.843 0.657
As 0.343 0.657 0.157
As 0.271 0.229 0.771
As 0.729 0.729 0.729
As 0.771 0.229 0.729
As 0.657 0.157 0.343
As 0.843 0.657 0.343
Br 0.957 0.308 0.962
Br 0.538 0.043 0.808
Br 0.962 0.543 0.808
Br 0.000 0.500 0.500
Br 0.962 0.957 0.308
Br 0.808 0.538 0.043
Br 0.462 0.543 0.692
Br 0.543 0.808 0.962
Br 0.457 0.192 0.038
Br 0.692 0.462 0.543
Br 0.457 0.308 0.538
Br 0.038 0.043 0.692
Br 0.192 0.462 0.957
Br 0.538 0.457 0.308
Br 0.957 0.192 0.462
Br 0.192 0.038 0.457
Br 0.462 0.957 0.192
Br 0.000 0.000 0.000
Br 0.043 0.808 0.538
Br 0.808 0.962 0.543
Br 0.692 0.038 0.043
Br 0.308 0.962 0.957
Br 0.308 0.538 0.457
Br 0.500 0.000 0.500
Br 0.543 0.692 0.462
Br 0.043 0.692 0.038
Br 0.038 0.457 0.192
Br 0.500 0.500 0.000

formation energy	-10.47	eV/f.u.
energy	-48.298	eV/f.u.

An optimized crystal structure of Cs3AsBr6. Source: Materials Project, functional GGA-PBE.

a b c (Å): 8.591 8.591 8.591
angles (deg): 60.00 60.00 60.00
Fractional positions:
Cs 0.750 0.750 0.750
Cs 0.250 0.250 0.250
Cs 0.500 0.500 0.500
As 0.000 0.000 0.000
Br 0.780 0.220 0.220
Br 0.220 0.220 0.780
Br 0.220 0.780 0.780
Br 0.220 0.780 0.220
Br 0.780 0.220 0.780
Br 0.780 0.780 0.220

formation energy	-15.64	eV/f.u.
energy	-29.603	eV/f.u.

An optimized crystal structure of Cs2InAsBr6. Source: Materials Project, functional GGA-PBE.

a b c (Å): 8.140 8.140 8.140
angles (deg): 60.00 60.00 60.00
Fractional positions:
Cs 0.750 0.750 0.750
Cs 0.250 0.250 0.250
In 0.500 0.500 0.500
As 0.000 0.000 0.000
Br 0.766 0.234 0.234
Br 0.234 0.234 0.766
Br 0.234 0.766 0.766
Br 0.234 0.766 0.234
Br 0.766 0.234 0.766
Br 0.766 0.766 0.234

formation energy	-14.07	eV/f.u.
energy	-29.885	eV/f.u.

An optimized crystal structure of Cs2KAsBr6. Source: Materials Project, functional GGA-PBE.

a b c (Å): 8.263 8.263 8.263
angles (deg): 60.00 60.00 60.00
Fractional positions:
Cs 0.750 0.750 0.750
Cs 0.250 0.250 0.250
K 0.500 0.500 0.500
As 0.000 0.000 0.000
Br 0.771 0.229 0.229
Br 0.229 0.229 0.771
Br 0.229 0.771 0.771
Br 0.229 0.771 0.229
Br 0.771 0.229 0.771
Br 0.771 0.771 0.229

formation energy	-15.84	eV/f.u.
energy	-30.020	eV/f.u.

An optimized crystal structure of CsK2AsBr6. Source: Materials Project, functional GGA-PBE.

a b c (Å): 8.515 8.515 8.515
angles (deg): 60.00 60.00 60.00
Fractional positions:
Cs 0.500 0.500 0.500
K 0.750 0.750 0.750
K 0.250 0.250 0.250
As 0.000 0.000 0.000
Br 0.779 0.221 0.221
Br 0.221 0.221 0.779
Br 0.221 0.779 0.779
Br 0.221 0.779 0.221
Br 0.779 0.221 0.779
Br 0.779 0.779 0.221

formation energy	-14.59	eV/f.u.
energy	-28.979	eV/f.u.

An optimized crystal structure of Cs2NaAsBr6. Source: Materials Project, functional GGA-PBE.

a b c (Å): 7.990 7.990 7.990
angles (deg): 60.00 60.00 60.00
Fractional positions:
Cs 0.750 0.750 0.750
Cs 0.250 0.250 0.250
Na 0.500 0.500 0.500
As 0.000 0.000 0.000
Br 0.763 0.237 0.237
Br 0.237 0.237 0.763
Br 0.237 0.763 0.763
Br 0.237 0.763 0.237
Br 0.763 0.237 0.763
Br 0.763 0.763 0.237

formation energy	-15.57	eV/f.u.
energy	-29.958	eV/f.u.

An optimized crystal structure of CsRb2AsBr6. Source: Materials Project, functional GGA-PBE.

a b c (Å): 8.543 8.543 8.543
angles (deg): 60.00 60.00 60.00
Fractional positions:
Cs 0.500 0.500 0.500
Rb 0.750 0.750 0.750
Rb 0.250 0.250 0.250
As 0.000 0.000 0.000
Br 0.779 0.221 0.221
Br 0.221 0.221 0.779
Br 0.221 0.779 0.779
Br 0.221 0.779 0.221
Br 0.779 0.221 0.779
Br 0.779 0.779 0.221

formation energy	-15.07	eV/f.u.
energy	-29.199	eV/f.u.

An optimized crystal structure of Cs2RbAsBr6. Source: Materials Project, functional GGA-PBE.

a b c (Å): 8.412 8.412 8.412
angles (deg): 60.00 60.00 60.00
Fractional positions:
Cs 0.750 0.750 0.750
Cs 0.250 0.250 0.250
Rb 0.500 0.500 0.500
As 0.000 0.000 0.000
Br 0.775 0.225 0.225
Br 0.225 0.225 0.775
Br 0.225 0.775 0.775
Br 0.225 0.775 0.225
Br 0.775 0.225 0.775
Br 0.775 0.775 0.225

formation energy	-15.74	eV/f.u.
energy	-29.790	eV/f.u.